DFT (PBE with a Hubbard U) results for a relaxed Li8NiO5F crystal.

Summary:
For the piezoelectric modulus e_max, the calculation gives 1.370 C/m². The calculated volume comes out at 263.28 Å³ per cell. The value obtained for the final energy is -4.7633 eV/atom. Its total moment is 0.0 μB per formula unit.

abc: 5.3321 9.4354 5.9129
angles: 84.61 112.30 77.32
Fractional positions:
1 Li 0.0928 0.8846 0.4587
2 Li 0.7940 0.2336 0.1303
3 Li 0.8928 0.6191 0.0315
4 Li 0.4690 0.0577 0.3011
5 Li 0.5230 0.9479 0.7085
6 Li 0.0928 0.3848 0.9586
7 Li 0.5230 0.4480 0.2086
8 Li 0.7942 0.7335 0.6304
9 Li 0.3678 0.1461 0.8678
10 Li 0.2311 0.2659 0.3958
11 Li 0.6750 0.8293 0.1463
12 Li 0.3678 0.6462 0.3678
13 Li 0.2311 0.7659 0.8959
14 Li 0.6751 0.3293 0.6464
15 Li 0.8928 0.1191 0.5315
16 Li 0.4690 0.5578 0.8010
17 O 0.5845 0.6319 0.1298
18 O 0.7738 0.0336 0.1946
19 O 0.8856 0.3214 0.4331
20 O 0.2048 0.4682 0.2851
21 O 0.1065 0.1818 0.0498
22 O 0.8856 0.8215 0.9332
23 O 0.7737 0.5335 0.6944
24 O 0.5846 0.1319 0.6300
25 O 0.1065 0.6818 0.5499
26 O 0.2047 0.9682 0.7854
27 F 0.4377 0.3664 0.9054
28 F 0.4378 0.8660 0.4052
29 Ni 0.9617 0.5121 0.4618
30 Ni 0.9614 0.0124 0.9619